{
  "formula": "CrTe",
  "functional": "PBE",
  "state": "relaxed",
  "rho_g_cm3": 6.424,
  "magnetic_moment_mub_per_fu": 3.93,
  "delta_e_f_mev_per_atom": -247,
  "sg": "Pnma",
  "lattice_angstrom": [[-3.880, 0.378, 1.342], [-2.102, -2.407, -5.398], [0.330, -6.596, 2.813]],
  "species": ["Cr", "Te", "Cr", "Cr", "Te", "Te", "Cr", "Te"],
  "frac_coords": [[0.250, 0.003, 0.755], [0.750, 0.754, 0.583], [0.250, 0.503, 0.745], [0.750, 0.997, 0.245], [0.750, 0.254, 0.917], [0.250, 0.746, 0.083], [0.750, 0.497, 0.255], [0.250, 0.246, 0.417]]
}

{
  "formula": "Er2CuAu",
  "functional": "PBE",
  "state": "relaxed",
  "rho_g_cm3": 11.478,
  "delta_e_f_mev_per_atom": -574,
  "sg": "Fm-3m",
  "lattice_angstrom": [[-4.487, -0.903, 1.902], [-3.444, -2.273, -2.745], [-1.349, -4.648, 1.067]],
  "species": ["Er", "Cu", "Er", "Au"],
  "frac_coords": [[0.250, 0.250, 0.250], [0.000, 0.000, 0.000], [0.750, 0.750, 0.750], [0.500, 0.500, 0.500]]
}

{
  "formula": "GdInO3",
  "functional": "PBE",
  "state": "relaxed",
  "rho_g_cm3": 7.783,
  "magnetic_moment_mub_per_fu": 7.00,
  "delta_e_f_mev_per_atom": -2897,
  "sg": "Pnma",
  "lattice_angstrom": [[5.603, 0.000, 0.000], [0.000, 5.933, 0.000], [0.000, 0.000, 8.216]],
  "species": ["O", "O", "In", "Gd", "In", "Gd", "O", "O", "O", "O", "O", "O", "O", "O", "O", "Gd", "Gd", "In", "O", "In"],
  "frac_coords": [[0.686, 0.810, 0.929], [0.686, 0.810, 0.571], [0.000, 0.000, 0.000], [0.980, 0.563, 0.750], [0.500, 0.500, 0.000], [0.520, 0.063, 0.750], [0.139, 0.934, 0.750], [0.814, 0.310, 0.929], [0.186, 0.690, 0.429], [0.314, 0.190, 0.429], [0.314, 0.190, 0.071], [0.814, 0.310, 0.571], [0.639, 0.566, 0.250], [0.361, 0.434, 0.750], [0.861, 0.066, 0.250], [0.480, 0.937, 0.250], [0.020, 0.437, 0.250], [0.000, 0.000, 0.500], [0.186, 0.690, 0.071], [0.500, 0.500, 0.500]]
}

{
  "formula": "Ba2GdMgSbO6",
  "functional": "PBE",
  "state": "relaxed",
  "rho_g_cm3": 5.049,
  "magnetic_moment_mub_per_fu": 7.00,
  "delta_e_f_mev_per_atom": -2632,
  "sg": "Cm",
  "lattice_angstrom": [[-6.692, -2.751, 0.601], [-3.076, 1.268, 5.446], [-1.672, 3.009, -5.384]],
  "species": ["O", "O", "O", "Ba", "Sb", "O", "Mg", "Gd", "O", "O", "Ba"],
  "frac_coords": [[0.718, 0.043, 0.804], [0.734, 0.033, 0.245], [0.305, 0.974, 0.708], [0.341, 0.440, 0.220], [0.912, 0.059, 0.031], [0.309, 0.974, 0.258], [0.153, 0.227, 0.607], [0.587, 0.942, 0.471], [0.305, 0.429, 0.707], [0.734, 0.478, 0.245], [0.538, 0.640, 0.817]]
}

{
  "formula": "HfMg14Ni",
  "functional": "PBE",
  "state": "relaxed",
  "rho_g_cm3": 2.798,
  "magnetic_moment_mub_per_fu": 0.00,
  "delta_e_f_mev_per_atom": 51,
  "sg": "Amm2",
  "lattice_angstrom": [[-5.129, -3.641, 0.834], [3.288, -0.645, -5.135], [5.681, -6.970, 4.512]],
  "species": ["Mg", "Mg", "Mg", "Mg", "Mg", "Mg", "Mg", "Mg", "Mg", "Ni", "Hf", "Mg", "Mg", "Mg", "Mg", "Mg"],
  "frac_coords": [[0.640, 0.332, 0.125], [0.333, 0.169, 0.885], [0.861, 0.181, 0.349], [0.665, 0.329, 0.625], [0.169, 0.834, 0.625], [0.333, 0.665, 0.365], [0.640, 0.808, 0.125], [0.333, 0.665, 0.885], [0.861, 0.181, 0.901], [0.185, 0.342, 0.125], [0.140, 0.820, 0.125], [0.164, 0.332, 0.625], [0.665, 0.836, 0.625], [0.333, 0.169, 0.365], [0.839, 0.669, 0.379], [0.839, 0.669, 0.871]]
}

{
  "formula": "Nd2InAg",
  "functional": "PBE",
  "state": "relaxed",
  "rho_g_cm3": 7.392,
  "delta_e_f_mev_per_atom": -366,
  "sg": "Fm-3m",
  "lattice_angstrom": [[0.000, 3.858, 3.858], [3.858, 0.000, 3.858], [3.858, 3.858, 0.000]],
  "species": ["Ag", "Nd", "Nd", "In"],
  "frac_coords": [[0.500, 0.500, 0.500], [0.250, 0.250, 0.250], [0.750, 0.750, 0.750], [0.000, 0.000, 0.000]]
}

{
  "formula": "K3Ag9Sb4S12",
  "functional": "PBE",
  "state": "relaxed",
  "rho_g_cm3": 4.544,
  "magnetic_moment_mub_per_fu": 0.00,
  "delta_e_f_mev_per_atom": -582,
  "sg": "I-4",
  "lattice_angstrom": [[5.990, -3.278, 6.991], [-8.505, -4.600, 1.412], [3.593, -1.822, -8.903]],
  "species": ["Sb", "Ag", "Ag", "S", "Ag", "Ag", "K", "Ag", "S", "Sb", "S", "S", "Ag", "S", "S", "S", "S", "S", "Ag", "Ag", "S", "Sb", "Ag", "K", "Sb", "S", "K", "S"],
  "frac_coords": [[0.867, 0.376, 0.261], [0.250, 0.750, 0.500], [0.160, 0.661, 0.148], [0.109, 0.427, 0.219], [0.989, 0.840, 0.502], [0.513, 0.011, 0.852], [0.333, 0.333, 0.000], [0.339, 0.487, 0.498], [0.792, 0.089, 0.202], [0.116, 0.607, 0.739], [0.410, 0.208, 0.298], [0.911, 0.112, 0.702], [0.509, 0.007, 0.174], [0.888, 0.590, 0.798], [0.208, 0.890, 0.781], [0.312, 0.332, 0.652], [0.680, 0.660, 0.348], [0.110, 0.891, 0.318], [0.993, 0.167, 0.501], [0.833, 0.335, 0.826], [0.668, 0.320, 0.980], [0.393, 0.133, 0.509], [0.665, 0.491, 0.499], [0.667, 0.667, 0.000], [0.624, 0.884, 0.491], [0.340, 0.688, 0.020], [0.000, 0.000, 0.000], [0.573, 0.792, 0.682]]
}

{
  "formula": "K2Ca5S6O25",
  "functional": "PBE",
  "state": "relaxed",
  "rho_g_cm3": 2.795,
  "magnetic_moment_mub_per_fu": 2.04,
  "delta_e_f_mev_per_atom": -2466,
  "sg": "C2/c",
  "lattice_angstrom": [[3.466, 8.842, 0.000], [-3.466, 8.842, 0.000], [0.000, 7.225, 16.888]],
  "species": ["S", "O", "O", "O", "O", "O", "O", "S", "S", "O", "Ca", "Ca", "O", "O", "O", "O", "S", "O", "O", "O", "O", "O", "O", "O", "O", "O", "S", "O", "O", "O", "K", "Ca", "O", "O", "O", "O", "O", "Ca", "O", "O", "K", "O", "O", "O", "Ca", "O", "O", "O", "O", "O", "Ca", "O", "O", "Ca", "S", "O", "O", "Ca", "O", "S", "S", "S", "Ca", "O", "K", "O", "O", "S", "S", "O", "O", "O", "O", "S", "K", "Ca"],
  "frac_coords": [[0.172, 0.398, 0.845], [0.678, 0.611, 0.378], [0.569, 0.025, 0.287], [0.510, 0.477, 0.121], [0.237, 0.656, 0.043], [0.389, 0.322, 0.122], [0.948, 0.231, 0.674], [0.324, 0.523, 0.118], [0.047, 0.218, 0.588], [0.769, 0.052, 0.826], [0.094, 0.340, 0.706], [0.605, 0.395, 0.750], [0.111, 0.649, 0.465], [0.322, 0.389, 0.622], [0.400, 0.331, 0.339], [0.935, 0.587, 0.072], [0.602, 0.828, 0.655], [0.025, 0.569, 0.787], [0.241, 0.759, 0.750], [0.975, 0.431, 0.213], [0.669, 0.600, 0.161], [0.413, 0.065, 0.428], [0.196, 0.280, 0.323], [0.632, 0.163, 0.687], [0.344, 0.763, 0.457], [0.523, 0.490, 0.379], [0.676, 0.477, 0.882], [0.656, 0.237, 0.543], [0.431, 0.975, 0.713], [0.163, 0.632, 0.187], [0.824, 0.043, 0.089], [0.340, 0.094, 0.206], [0.296, 0.148, 0.075], [0.004, 0.796, 0.924], [0.763, 0.344, 0.957], [0.477, 0.510, 0.621], [0.600, 0.669, 0.661], [0.660, 0.906, 0.794], [0.587, 0.935, 0.572], [0.649, 0.111, 0.965], [0.043, 0.824, 0.589], [0.490, 0.523, 0.879], [0.351, 0.889, 0.035], [0.796, 0.004, 0.424], [0.395, 0.605, 0.250], [0.148, 0.296, 0.575], [0.804, 0.720, 0.677], [0.231, 0.948, 0.174], [0.759, 0.241, 0.250], [0.368, 0.837, 0.313], [0.728, 0.571, 0.017], [0.611, 0.678, 0.878], [0.280, 0.196, 0.823], [0.906, 0.660, 0.294], [0.398, 0.172, 0.345], [0.996, 0.204, 0.076], [0.331, 0.400, 0.839], [0.429, 0.272, 0.483], [0.889, 0.351, 0.535], [0.218, 0.047, 0.088], [0.477, 0.676, 0.382], [0.828, 0.602, 0.155], [0.571, 0.728, 0.517], [0.065, 0.413, 0.928], [0.957, 0.176, 0.411], [0.837, 0.368, 0.813], [0.204, 0.996, 0.576], [0.953, 0.782, 0.412], [0.523, 0.324, 0.618], [0.720, 0.804, 0.177], [0.704, 0.852, 0.925], [0.052, 0.769, 0.326], [0.852, 0.704, 0.425], [0.782, 0.953, 0.912], [0.176, 0.957, 0.911], [0.272, 0.429, 0.983]]
}